{
  "formula": "MgSO9",
  "functional": "PBE-GGA",
  "state": "relaxed",
  "cell": [[5.547, 0.000, 0.000], [-1.076, 6.873, 0.000], [-0.749, -3.164, 6.415]],
  "species": ["Mg", "S", "O", "O", "O", "O", "O", "O", "O", "O", "O"],
  "frac_coords": [[0.077, 0.231, 0.023], [0.497, 0.972, 0.996], [0.268, 0.001, 0.892], [0.285, 0.261, 0.296], [0.725, 0.096, 0.968], [0.606, 0.517, 0.742], [0.834, 0.544, 0.785], [0.996, 0.905, 0.402], [0.494, 0.192, 0.284], [0.179, 0.529, 0.075], [0.900, 0.029, 0.537]],
  "e_above_lowest_polymorph_mev_per_atom": 178,
  "m_tot_mub_per_cell": 2.0
}


{
  "formula": "MgS2O7",
  "functional": "PBE-GGA",
  "state": "relaxed",
  "cell": [[-4.697, 1.250, 1.028], [0.267, -7.035, 0.284], [2.650, 0.784, 7.892]],
  "species": ["Mg", "Mg", "S", "S", "S", "S", "O", "O", "O", "O", "O", "O", "O", "O", "O", "O", "O", "O", "O", "O"],
  "frac_coords": [[0.000, 0.500, 0.000], [0.500, 0.000, 0.500], [0.505, 0.646, 0.768], [0.495, 0.354, 0.232], [0.131, 0.251, 0.689], [0.869, 0.749, 0.311], [0.733, 0.563, 0.817], [0.267, 0.437, 0.183], [0.342, 0.681, 0.898], [0.658, 0.319, 0.102], [0.589, 0.810, 0.668], [0.411, 0.190, 0.332], [0.285, 0.478, 0.639], [0.715, 0.522, 0.361], [0.898, 0.192, 0.563], [0.102, 0.808, 0.437], [0.339, 0.142, 0.679], [0.661, 0.858, 0.321], [0.052, 0.271, 0.851], [0.948, 0.729, 0.149]]
}


{
  "formula": "MgSO8",
  "functional": "PBE-GGA",
  "state": "relaxed",
  "cell": [[13.131, 0.000, 0.000], [0.000, 5.297, 0.000], [0.000, 5.146, 8.691]],
  "species": ["Mg", "Mg", "Mg", "Mg", "S", "S", "S", "S", "O", "O", "O", "O", "O", "O", "O", "O", "O", "O", "O", "O", "O", "O", "O", "O", "O", "O", "O", "O", "O", "O", "O", "O", "O", "O", "O", "O", "O", "O", "O", "O"],
  "frac_coords": [[0.407, 0.999, 0.191], [0.593, 0.001, 0.809], [0.907, 0.001, 0.309], [0.093, 0.999, 0.691], [0.604, 0.608, 0.190], [0.396, 0.392, 0.810], [0.104, 0.392, 0.310], [0.896, 0.608, 0.690], [0.834, 0.667, 0.050], [0.166, 0.333, 0.950], [0.334, 0.333, 0.450], [0.666, 0.667, 0.550], [0.359, 0.588, 0.189], [0.641, 0.412, 0.811], [0.859, 0.412, 0.311], [0.141, 0.588, 0.689], [0.591, 0.290, 0.290], [0.409, 0.710, 0.710], [0.091, 0.710, 0.210], [0.909, 0.290, 0.790], [0.282, 0.783, 0.322], [0.718, 0.217, 0.678], [0.782, 0.217, 0.178], [0.218, 0.783, 0.822], [0.919, 0.836, 0.163], [0.081, 0.164, 0.837], [0.419, 0.164, 0.337], [0.581, 0.836, 0.663], [0.711, 0.694, 0.209], [0.289, 0.306, 0.791], [0.211, 0.306, 0.291], [0.789, 0.694, 0.709], [0.536, 0.775, 0.237], [0.464, 0.225, 0.763], [0.036, 0.225, 0.263], [0.964, 0.775, 0.737], [0.586, 0.702, 0.026], [0.414, 0.298, 0.974], [0.086, 0.298, 0.474], [0.914, 0.702, 0.526]],
  "e_above_lowest_polymorph_mev_per_atom": 449,
  "m_tot_mub_per_cell": 24.0
}


{
  "formula": "Mg3S2O12",
  "functional": "PBE-GGA",
  "state": "relaxed",
  "cell": [[-6.005, 2.559, 3.535], [3.328, -3.686, 8.322], [6.175, 11.107, 2.450]],
  "species": ["Mg", "Mg", "Mg", "Mg", "Mg", "Mg", "Mg", "Mg", "Mg", "Mg", "Mg", "Mg", "S", "S", "S", "S", "S", "S", "S", "S", "O", "O", "O", "O", "O", "O", "O", "O", "O", "O", "O", "O", "O", "O", "O", "O", "O", "O", "O", "O", "O", "O", "O", "O", "O", "O", "O", "O", "O", "O", "O", "O", "O", "O", "O", "O", "O", "O", "O", "O", "O", "O", "O", "O", "O", "O", "O", "O"],
  "frac_coords": [[0.814, 0.747, 0.750], [0.186, 0.253, 0.250], [0.814, 0.753, 0.250], [0.186, 0.247, 0.750], [0.455, 0.525, 0.874], [0.545, 0.475, 0.374], [0.455, 0.975, 0.126], [0.545, 0.025, 0.626], [0.545, 0.475, 0.126], [0.455, 0.525, 0.626], [0.545, 0.025, 0.874], [0.455, 0.975, 0.374], [0.804, 0.419, 0.750], [0.196, 0.581, 0.250], [0.804, 0.081, 0.250], [0.196, 0.919, 0.750], [0.704, 0.750, 0.500], [0.296, 0.250, 0.000], [0.296, 0.250, 0.500], [0.704, 0.750, 0.000], [0.915, 0.547, 0.750], [0.085, 0.453, 0.250], [0.915, 0.953, 0.250], [0.085, 0.047, 0.750], [0.686, 0.417, 0.844], [0.314, 0.583, 0.344], [0.686, 0.083, 0.156], [0.314, 0.917, 0.656], [0.314, 0.583, 0.156], [0.686, 0.417, 0.656], [0.314, 0.917, 0.844], [0.686, 0.083, 0.344], [0.920, 0.297, 0.750], [0.080, 0.703, 0.250], [0.920, 0.203, 0.250], [0.080, 0.797, 0.750], [0.815, 0.749, 0.593], [0.185, 0.251, 0.093], [0.815, 0.751, 0.407], [0.185, 0.249, 0.907], [0.185, 0.251, 0.407], [0.815, 0.749, 0.907], [0.185, 0.249, 0.593], [0.815, 0.751, 0.093], [0.581, 0.624, 0.498], [0.419, 0.376, 0.998], [0.581, 0.876, 0.502], [0.419, 0.124, 0.002], [0.419, 0.376, 0.502], [0.581, 0.624, 0.002], [0.419, 0.124, 0.498], [0.581, 0.876, 0.998], [0.548, 0.653, 0.750], [0.452, 0.347, 0.250], [0.548, 0.847, 0.250], [0.452, 0.153, 0.750], [0.327, 0.430, 0.750], [0.673, 0.570, 0.250], [0.327, 0.070, 0.250], [0.673, 0.930, 0.750], [0.208, 0.613, 0.932], [0.792, 0.387, 0.432], [0.208, 0.887, 0.068], [0.792, 0.113, 0.568], [0.792, 0.387, 0.068], [0.208, 0.613, 0.568], [0.792, 0.113, 0.932], [0.208, 0.887, 0.432]],
  "m_tot_mub_per_cell": 24.0
}


Formation energy
In order: -0.572; -2.148; -0.666; -1.696
Unit: eV/atom